(1)
Here is a relaxed Zr6CoBi2 crystal from the Materials Project. Energies are from r²SCAN.

a = 7.9101 Å, b = 7.9101 Å, c = 3.6648 Å
α = 90.00°, β = 90.00°, γ = 120.00°
Space group P-62m (No. 189)
One atom of each set of equivalent atoms:
Zr: 0.0000 0.2348 0.0000
Zr: 0.0000 0.6052 0.5000
Co: 0.0000 0.0000 0.5000
Bi: 0.3333 0.6667 0.0000

- E_form: -0.39 eV/atom

(2)
Here is a relaxed Cr2Bi6O15 crystal from the Materials Project. Energies are from r²SCAN.

a = 12.4055 Å, b = 19.9308 Å, c = 5.8820 Å
α = 90.00°, β = 90.00°, γ = 90.00°
Space group Ccc2 (No. 37)
One atom of each set of equivalent atoms:
Cr: 0.1309 0.1634 0.0000
Bi: 0.1009 0.2988 0.5252
Bi: 0.1090 0.4362 0.1215
Bi: 0.1793 0.0682 0.5259
O: 0.0000 0.5000 0.3056
O: 0.0122 0.3439 0.2446
O: 0.0501 0.2264 0.9316
O: 0.0664 0.0923 0.9942
O: 0.1564 0.4033 0.4741
O: 0.1839 0.1745 0.2547
O: 0.2277 0.1589 0.8022
O: 0.2456 0.0019 0.2627

- E_form: -1.57 eV/atom

(3)
Here is a relaxed Cs3Bi2 crystal from the Materials Project. Energies are from r²SCAN.

a = 10.1223 Å, b = 10.5238 Å, c = 10.3269 Å
α = 90.00°, β = 104.63°, γ = 90.00°
Space group C2/c (No. 15)
One atom of each set of equivalent atoms:
Cs: 0.0000 0.1583 0.2500
Cs: 0.2100 0.4514 0.9831
Bi: 0.0965 0.2148 0.6632

- E_form: -0.49 eV/atom

(4)
Here is a relaxed Cs3Bi crystal from the Materials Project. Energies are from r²SCAN.

a = 9.3932 Å, b = 9.3932 Å, c = 9.3932 Å
α = 90.00°, β = 90.00°, γ = 90.00°
Space group Fm-3m (No. 225)
One atom of each set of equivalent atoms:
Cs: 0.0000 0.0000 0.0000
Cs: 0.2500 0.2500 0.2500
Bi: 0.0000 0.0000 0.5000

- E_form: -0.47 eV/atom

(5)
Here is a relaxed CsBi2 crystal from the Materials Project. Energies are from r²SCAN.

a = 9.7592 Å, b = 9.7592 Å, c = 9.7592 Å
α = 90.00°, β = 90.00°, γ = 90.00°
Space group Fd-3m (No. 227, origin choice 2)
One atom of each set of equivalent atoms:
Cs: 0.1250 0.1250 0.1250
Bi: 0.0000 0.0000 0.5000

- E_form: -0.39 eV/atom

(6)
Here is a relaxed Cs3BiF6 crystal from the Materials Project. Energies are from r²SCAN.

a = 10.0749 Å, b = 10.0749 Å, c = 10.0749 Å
α = 90.00°, β = 90.00°, γ = 90.00°
Space group Fm-3m (No. 225)
One atom of each set of equivalent atoms:
Cs: 0.0000 0.0000 0.0000
Cs: 0.2500 0.2500 0.2500
Bi: 0.0000 0.0000 0.5000
F: 0.0000 0.0000 0.2765

- E_form: -2.78 eV/atom

(7)
Here is a relaxed Cs6Bi4O9 crystal from the Materials Project. Energies are from r²SCAN.

a = 8.1802 Å, b = 9.9995 Å, c = 12.3391 Å
α = 104.25°, β = 94.13°, γ = 92.32°
Space group P-1 (No. 2)
One atom of each set of equivalent atoms:
Cs: 0.0609 0.2629 0.2591
Cs: 0.1200 0.0510 0.6381
Cs: 0.1202 0.8645 0.0562
Cs: 0.3490 0.3546 0.5527
Cs: 0.3819 0.5393 0.1357
Cs: 0.4325 0.7473 0.7525
Bi: 0.1113 0.4323 0.8544
Bi: 0.1661 0.6688 0.4147
Bi: 0.3644 0.1429 0.9283
Bi: 0.3898 0.9580 0.3674
O: 0.0595 0.4343 0.6853
O: 0.2073 0.7740 0.2906
O: 0.2067 0.9757 0.8549
O: 0.2112 0.0944 0.4020
O: 0.2442 0.2223 0.0673
O: 0.2704 0.6017 0.8971
O: 0.2903 0.2813 0.8255
O: 0.3146 0.5098 0.3670
O: 0.3992 0.8769 0.5101

- E_form: -1.45 eV/atom

(8)
Here is a relaxed Cs2BiPWO8 crystal from the Materials Project. Energies are from r²SCAN.

a = 7.1680 Å, b = 12.6019 Å, c = 21.4221 Å
α = 90.00°, β = 90.00°, γ = 90.00°
Space group Ibca (No. 73)
One atom of each set of equivalent atoms:
Cs: 0.0308 0.0850 0.1591
Bi: 0.2500 0.1659 0.5000
P: 0.2500 0.0738 0.0000
W: 0.0000 0.2500 0.3436
O: 0.0619 0.1406 0.7955
O: 0.0819 0.1498 0.0082
O: 0.2001 0.2160 0.3907
O: 0.2275 0.0006 0.5565

- E_form: -2.27 eV/atom